Entry 1:
Here is a relaxed structure of MgTi3H8 from the Materials Project. Energies are from PBE.

Computed properties:
* crystal system: cubic
* formation energy from the elements: -0.503 eV per atom
* E: -57.0 eV/cell
* calculated volume: 88.7 Å³/f.u.

a = 4.460 Å, b = 4.460 Å, c = 4.460 Å
α = 90.00°, β = 90.00°, γ = 90.00°
Atoms (fractional coordinates):
Mg  0.000  0.000  0.000
Ti  0.000  0.500  0.500
Ti  0.500  0.000  0.500
Ti  0.500  0.500  0.000
H  0.254  0.254  0.254
H  0.254  0.254  0.746
H  0.254  0.746  0.254
H  0.254  0.746  0.746
H  0.746  0.254  0.254
H  0.746  0.254  0.746
H  0.746  0.746  0.254
H  0.746  0.746  0.746

***

Entry 2:
Here is a relaxed structure of BaHfMg14O16 from the Materials Project. Energies are from PBE.

Computed properties:
* crystal system: orthorhombic
* formation energy from the elements: -2.763 eV per atom
* E: -190.9 eV/cell
* calculated volume: 360.8 Å³/f.u.

a = 4.564 Å, b = 8.861 Å, c = 8.920 Å
α = 90.00°, β = 90.00°, γ = 90.00°
Atoms (fractional coordinates):
Ba  0.000  0.000  0.000
Hf  0.000  0.000  0.500
Mg  0.000  0.267  0.252
Mg  0.000  0.267  0.748
Mg  0.000  0.500  0.000
Mg  0.000  0.500  0.500
Mg  0.000  0.733  0.252
Mg  0.000  0.733  0.748
Mg  0.500  0.000  0.254
Mg  0.500  0.000  0.746
Mg  0.500  0.259  0.500
Mg  0.500  0.267  0.000
Mg  0.500  0.500  0.251
Mg  0.500  0.500  0.749
Mg  0.500  0.733  0.000
Mg  0.500  0.741  0.500
O  0.000  0.000  0.275
O  0.000  0.000  0.725
O  0.000  0.256  0.500
O  0.000  0.282  0.000
O  0.000  0.500  0.259
O  0.000  0.500  0.741
O  0.000  0.718  0.000
O  0.000  0.744  0.500
O  0.500  0.000  0.000
O  0.500  0.000  0.500
O  0.500  0.250  0.249
O  0.500  0.250  0.751
O  0.500  0.500  0.000
O  0.500  0.500  0.500
O  0.500  0.750  0.249
O  0.500  0.750  0.751

***

Entry 3:
Here is a relaxed structure of Cs2MnSnTe4 from the Materials Project. Energies are from PBE.

Computed properties:
* crystal system: orthorhombic
* formation energy from the elements: -0.816 eV per atom
* E: -64.8 eV/cell
* calculated volume: 350.8 Å³/f.u.

a = 15.299 Å, b = 13.569 Å, c = 8.552 Å
α = 84.27°, β = 61.94°, γ = 33.79°
Atoms (fractional coordinates):
Cs  0.059  0.059  0.691
Cs  0.309  0.309  0.941
Cs  0.691  0.691  0.059
Cs  0.941  0.941  0.309
Mn  0.375  0.375  0.375
Mn  0.625  0.625  0.625
Sn  0.125  0.125  0.125
Sn  0.875  0.875  0.875
Te  0.030  0.340  0.415
Te  0.285  0.585  0.660
Te  0.340  0.030  0.715
Te  0.415  0.715  0.030
Te  0.585  0.285  0.970
Te  0.660  0.970  0.285
Te  0.715  0.415  0.340
Te  0.970  0.660  0.585

***

Entry 4:
Here is a relaxed structure of Ba4Ti2PtO10 from the Materials Project. Energies are from PBE.

Computed properties:
* crystal system: orthorhombic
* formation energy from the elements: -3.008 eV per atom
* E: -246.6 eV/cell
* calculated volume: 264.6 Å³/f.u.

a = 7.396 Å, b = 7.396 Å, c = 13.319 Å
α = 90.00°, β = 90.00°, γ = 133.41°
Atoms (fractional coordinates):
Ba  0.029  0.971  0.858
Ba  0.234  0.766  0.600
Ba  0.266  0.734  0.100
Ba  0.471  0.529  0.358
Ba  0.529  0.471  0.642
Ba  0.734  0.266  0.900
Ba  0.766  0.234  0.400
Ba  0.971  0.029  0.142
Ti  0.139  0.861  0.345
Ti  0.361  0.639  0.845
Ti  0.639  0.361  0.155
Ti  0.861  0.139  0.655
Pt  0.000  0.000  0.500
Pt  0.500  0.500  0.000
O  0.036  0.964  0.651
O  0.117  0.334  0.540
O  0.122  0.378  0.750
O  0.166  0.383  0.960
O  0.230  0.770  0.859
O  0.270  0.730  0.359
O  0.334  0.117  0.460
O  0.378  0.122  0.250
O  0.383  0.166  0.040
O  0.464  0.536  0.151
O  0.536  0.464  0.849
O  0.617  0.834  0.960
O  0.622  0.878  0.750
O  0.666  0.883  0.540
O  0.730  0.270  0.641
O  0.770  0.230  0.141
O  0.834  0.617  0.040
O  0.878  0.622  0.250
O  0.883  0.666  0.460
O  0.964  0.036  0.349

***

Entry 5:
Here is a relaxed structure of Na4Sc2Zn2SiS5O24 from the Materials Project. Energies are from PBE.

Computed properties:
* crystal system: triclinic
* formation energy from the elements: -2.360 eV per atom
* E: -715.6 eV/cell
* calculated volume: 519.0 Å³/f.u.

a = 8.907 Å, b = 8.918 Å, c = 22.561 Å
α = 89.89°, β = 89.76°, γ = 60.32°
Atoms (fractional coordinates):
Na  0.000  0.000  0.000
Na  0.000  0.002  0.514
Na  0.010  0.341  0.746
Na  0.326  0.695  0.430
Na  0.327  0.968  0.910
Na  0.350  0.320  0.168
Na  0.352  0.312  0.672
Na  0.652  0.676  0.835
Na  0.672  0.032  0.091
Na  0.684  0.658  0.339
Na  0.703  0.958  0.423
Na  0.992  0.650  0.260
Sc  0.318  0.347  0.523
Sc  0.333  0.330  0.316
Sc  0.338  0.331  0.819
Sc  0.651  0.684  0.689
Sc  0.664  0.672  0.187
Sc  0.991  0.996  0.352
Zn  0.008  0.990  0.844
Zn  0.013  0.999  0.659
Zn  0.330  0.341  0.017
Zn  0.671  0.658  0.986
Zn  0.697  0.657  0.490
Zn  0.987  0.010  0.156
Si  0.033  0.629  0.416
Si  0.296  0.001  0.757
Si  0.696  0.004  0.248
S  0.000  0.294  0.250
S  0.034  0.337  0.921
S  0.296  0.707  0.252
S  0.330  0.040  0.421
S  0.333  0.632  0.923
S  0.365  0.965  0.083
S  0.372  0.669  0.582
S  0.626  0.335  0.420
S  0.635  0.035  0.923
S  0.667  0.370  0.084
S  0.671  0.969  0.584
S  0.706  0.293  0.752
S  0.962  0.363  0.588
S  0.967  0.663  0.085
S  0.999  0.704  0.752
O  0.015  0.180  0.919
O  0.019  0.784  0.698
O  0.020  0.823  0.416
O  0.027  0.193  0.196
O  0.119  0.351  0.866
O  0.120  0.527  0.355
O  0.138  0.349  0.584
O  0.138  0.504  0.081
O  0.147  0.312  0.973
O  0.149  0.327  0.255
O  0.158  0.530  0.759
O  0.160  0.054  0.703
O  0.168  0.528  0.471
O  0.171  0.027  0.415
O  0.176  0.806  0.920
O  0.187  0.795  0.201
O  0.192  0.985  0.092
O  0.197  0.820  0.587
O  0.222  0.805  0.308
O  0.223  0.971  0.820
O  0.306  0.534  0.256
O  0.317  0.139  0.475
O  0.318  0.177  0.762
O  0.324  0.546  0.977
O  0.346  0.529  0.869
O  0.359  0.122  0.368
O  0.361  0.135  0.083
O  0.362  0.505  0.582
O  0.441  0.869  0.027
O  0.455  0.682  0.526
O  0.473  0.680  0.247
O  0.480  0.657  0.634
O  0.481  0.862  0.424
O  0.483  0.868  0.134
O  0.489  0.833  0.747
O  0.490  0.655  0.922
O  0.504  0.169  0.257
O  0.510  0.347  0.084
O  0.512  0.143  0.583
O  0.516  0.132  0.873
O  0.520  0.354  0.367
O  0.526  0.329  0.760
O  0.548  0.299  0.473
O  0.561  0.129  0.980
O  0.632  0.496  0.426
O  0.638  0.864  0.924
O  0.653  0.872  0.635
O  0.655  0.471  0.138
O  0.676  0.457  0.030
O  0.686  0.879  0.527
O  0.690  0.819  0.246
O  0.700  0.464  0.745
O  0.775  0.188  0.698
O  0.780  0.025  0.187
O  0.801  0.182  0.414
O  0.808  0.013  0.914
O  0.812  0.214  0.805
O  0.821  0.972  0.307
O  0.824  0.195  0.086
O  0.826  0.987  0.591
O  0.837  0.660  0.423
O  0.840  0.467  0.248
O  0.851  0.688  0.034
O  0.853  0.666  0.746
O  0.862  0.449  0.534
O  0.863  0.496  0.925
O  0.879  0.465  0.642
O  0.883  0.648  0.141
O  0.964  0.808  0.806
O  0.981  0.190  0.590
O  0.984  0.820  0.087
O  0.988  0.207  0.304

***

Entry 6:
Here is a relaxed structure of GdNi5 from the Materials Project. Energies are from PBE.

Computed properties:
* crystal system: hexagonal
* formation energy from the elements: -0.310 eV per atom
* E: -44.8 eV/cell
* calculated volume: 81.4 Å³/f.u.

a = 4.881 Å, b = 4.881 Å, c = 3.946 Å
α = 90.00°, β = 90.00°, γ = 120.00°
Atoms (fractional coordinates):
Gd  0.000  0.000  0.000
Ni  0.000  0.500  0.500
Ni  0.333  0.667  0.000
Ni  0.500  0.000  0.500
Ni  0.500  0.500  0.500
Ni  0.667  0.333  0.000